No. 1
This record from Materials Project describes a relaxed structure of BaAl2Si2O8. The functional is PBE.

The structure in CIF format:
```
data_BaAl2Si2O8
_space_group_name_H-M_alt 'P 1 21/c 1'
_space_group_IT_number 14
_cell_length_a 8.6728
_cell_length_b 9.7153
_cell_length_c 9.2084
_cell_angle_alpha 90.00
_cell_angle_beta 90.16
_cell_angle_gamma 90.00
loop_
_space_group_symop_operation_xyz
'x,y,z'
'-x,-y,-z'
'-x,y+1/2,-z+1/2'
'x,-y+1/2,z+1/2'
loop_
_atom_site_label
_atom_site_type_symbol
_atom_site_fract_x
_atom_site_fract_y
_atom_site_fract_z
_atom_site_occupancy
Ba1 Ba 0.2493 0.0871 0.1015 1
Al1 Al 0.0719 0.6931 0.0652 1
Al2 Al 0.4305 0.0798 0.7223 1
Si1 Si 0.0626 0.0846 0.7301 1
Si2 Si 0.4408 0.6988 0.0697 1
O1 O 0.0027 0.5711 0.1930 1
O2 O 0.0449 0.6373 0.6335 1
O3 O 0.0496 0.1864 0.5894 1
O4 O 0.2408 0.0890 0.7915 1
O5 O 0.2646 0.6665 0.0221 1
O6 O 0.4414 0.1866 0.5692 1
O7 O 0.4568 0.6415 0.6303 1
O8 O 0.5001 0.0885 0.3052 1
```

The total energy comes out at -7.63 eV/atom. The total magnetic moment is 0.00 μB per atom. Its energy relative to the elements is -333.3 kJ per mole of atoms. For the energy above the most stable polymorph in this dataset, the calculation gives 0 meV per atom.



No. 2
This record from Materials Project describes a relaxed structure of Ba3Al2Si3O12. The functional is PBE.

The structure in CIF format:
```
data_Ba3Al2Si3O12
_space_group_name_H-M_alt 'I a -3 d'
_space_group_IT_number 230
_space_group_name_Hall '-I 4bd 2c 3'
_cell_length_a 12.6723
_cell_length_b 12.6723
_cell_length_c 12.6723
_cell_angle_alpha 90.00
_cell_angle_beta 90.00
_cell_angle_gamma 90.00
loop_
_atom_site_label
_atom_site_type_symbol
_atom_site_fract_x
_atom_site_fract_y
_atom_site_fract_z
_atom_site_occupancy
Ba1 Ba 0.0000 0.2500 0.1250 1
Al1 Al 0.0000 0.0000 0.0000 1
Si1 Si 0.0000 0.2500 0.3750 1
O1 O 0.0355 0.1490 0.9536 1
```

The total energy comes out at -7.19 eV/atom. The total magnetic moment is 0.00 μB per atom. Its energy relative to the elements is -304.5 kJ per mole of atoms.



No. 3
This record from Materials Project describes a relaxed structure of BaAlSn4O7. The functional is PBE.

The structure in CIF format:
```
data_BaAlSn4O7
_space_group_name_H-M_alt 'P 63 m c'
_space_group_IT_number 186
_space_group_name_Hall 'P 6c -2c'
_cell_length_a 6.1157
_cell_length_b 6.1157
_cell_length_c 14.0668
_cell_angle_alpha 90.00
_cell_angle_beta 90.00
_cell_angle_gamma 120.00
loop_
_atom_site_label
_atom_site_type_symbol
_atom_site_fract_x
_atom_site_fract_y
_atom_site_fract_z
_atom_site_occupancy
Ba1 Ba 0.3333 0.6667 0.0000 1
Al1 Al 0.3333 0.6667 0.4251 1
Sn1 Sn 0.0000 0.0000 0.4892 1
Sn2 Sn 0.1708 0.3417 0.7531 1
O1 O 0.0000 0.0000 0.3448 1
O2 O 0.0129 0.5064 0.3459 1
O3 O 0.1841 0.3682 0.5096 1
```

The total energy comes out at -5.95 eV/atom. The total magnetic moment is 0.00 μB per atom. Its energy relative to the elements is -191.2 kJ per mole of atoms.



Question: Look up the total magnetic moment of the first one.
Answer: 0.00 μB per atom